Entry from the Materials Project database: a relaxed structure of Li4Cr3Co2Sb3O16 (GGA+U).

ΔH_f (0 K)   -57.3 eV per formula unit
Calculated density   4.81 g/cm3

CIF file:
```
data_Li4Cr3Co2Sb3O16
_chemical_formula_sum 'Li4 Cr3 Co2 Sb3 O16'
_cell_length_a 6.096
_cell_length_b 6.096
_cell_length_c 9.857
_cell_angle_alpha 89.66
_cell_angle_beta 89.66
_cell_angle_gamma 60.36
_space_group_name_H-M_alt 'P 1'
_space_group_IT_number 1
loop_
_space_group_symop_operation_xyz
'x,y,z'
loop_
_atom_site_label
_atom_site_fract_x
_atom_site_fract_y
_atom_site_fract_z
Li1 0.671 0.671 0.900
Li2 0.010 0.010 0.006
Li3 0.011 0.011 0.491
Li4 0.336 0.336 0.373
Cr1 0.831 0.337 0.215
Cr2 0.337 0.831 0.215
Cr3 0.168 0.168 0.716
Co1 0.654 0.654 0.476
Co2 0.327 0.327 0.018
Sb1 0.830 0.830 0.215
Sb2 0.662 0.168 0.716
Sb3 0.168 0.662 0.716
O1 0.838 0.311 0.606
O2 0.517 0.517 0.331
O3 0.667 0.667 0.105
O4 0.998 0.998 0.312
O5 0.000 0.000 0.820
O6 0.311 0.838 0.606
O7 0.966 0.519 0.334
O8 0.519 0.966 0.334
O9 0.159 0.159 0.106
O10 0.844 0.844 0.603
O11 0.487 0.032 0.828
O12 0.032 0.487 0.828
O13 0.333 0.333 0.603
O14 0.685 0.152 0.102
O15 0.487 0.487 0.831
O16 0.152 0.685 0.102
```

---

Entry from the Materials Project database: a relaxed structure of Li4Cr2Co3Sb3O16 (GGA+U).

ΔH_f (0 K)   -53.8 eV per formula unit
Calculated density   4.97 g/cm3

CIF file:
```
data_Li4Cr2Co3Sb3O16
_chemical_formula_sum 'Li4 Cr2 Co3 Sb3 O16'
_cell_length_a 6.056
_cell_length_b 6.119
_cell_length_c 9.660
_cell_angle_alpha 91.60
_cell_angle_beta 90.42
_cell_angle_gamma 119.64
_space_group_name_H-M_alt 'P 1'
_space_group_IT_number 1
loop_
_space_group_symop_operation_xyz
'x,y,z'
loop_
_atom_site_label
_atom_site_fract_x
_atom_site_fract_y
_atom_site_fract_z
Li1 0.659 0.328 0.880
Li2 0.976 0.950 0.982
Li3 0.992 0.981 0.506
Li4 0.328 0.658 0.403
Cr1 0.682 0.350 0.495
Cr2 0.340 0.688 0.976
Co1 0.832 0.664 0.215
Co2 0.168 0.830 0.710
Co3 0.663 0.841 0.713
Sb1 0.337 0.170 0.215
Sb2 0.833 0.170 0.214
Sb3 0.177 0.346 0.714
O1 0.340 0.187 0.596
O2 0.519 0.036 0.339
O3 0.656 0.315 0.100
O4 0.009 0.017 0.319
O5 0.021 0.011 0.802
O6 0.847 0.179 0.598
O7 0.513 0.474 0.340
O8 0.963 0.472 0.340
O9 0.158 0.316 0.101
O10 0.851 0.676 0.600
O11 0.036 0.505 0.849
O12 0.478 0.521 0.848
O13 0.318 0.661 0.607
O14 0.168 0.848 0.103
O15 0.458 0.956 0.842
O16 0.678 0.850 0.100
```

---

Entry from the Materials Project database: a relaxed structure of Li4Cr3Co3Sb2O16 (GGA+U).

ΔH_f (0 K)   -56.4 eV per formula unit
Calculated density   5.03 g/cm3

CIF file:
```
data_Li4Cr3Co3Sb2O16
_chemical_formula_sum 'Li4 Cr3 Co3 Sb2 O16'
_cell_length_a 5.854
_cell_length_b 5.854
_cell_length_c 9.545
_cell_angle_alpha 89.40
_cell_angle_beta 89.40
_cell_angle_gamma 60.28
_space_group_name_H-M_alt 'P 1'
_space_group_IT_number 1
loop_
_space_group_symop_operation_xyz
'x,y,z'
loop_
_atom_site_label
_atom_site_fract_x
_atom_site_fract_y
_atom_site_fract_z
Li1 0.330 0.330 0.101
Li2 0.006 0.006 0.008
Li3 0.005 0.005 0.506
Li4 0.664 0.664 0.597
Cr1 0.661 0.170 0.785
Cr2 0.170 0.661 0.785
Cr3 0.831 0.831 0.286
Co1 0.171 0.171 0.785
Co2 0.830 0.341 0.285
Co3 0.341 0.830 0.285
Sb1 0.333 0.333 0.509
Sb2 0.665 0.665 0.013
O1 0.676 0.165 0.404
O2 0.482 0.482 0.655
O3 0.329 0.329 0.893
O4 0.006 0.006 0.692
O5 0.007 0.007 0.194
O6 0.165 0.676 0.404
O7 0.476 0.034 0.659
O8 0.034 0.476 0.659
O9 0.837 0.837 0.908
O10 0.164 0.164 0.398
O11 0.964 0.511 0.160
O12 0.511 0.964 0.160
O13 0.661 0.661 0.389
O14 0.838 0.329 0.903
O15 0.517 0.517 0.166
O16 0.329 0.838 0.903
```

---

Entry from the Materials Project database: a relaxed structure of Li4Cr2Co3Sn3O16 (GGA+U).

ΔH_f (0 K)   -54.0 eV per formula unit
Calculated density   5.18 g/cm3

CIF file:
```
data_Li4Cr2Co3Sn3O16
_chemical_formula_sum 'Li4 Cr2 Co3 Sn3 O16'
_cell_length_a 5.948
_cell_length_b 6.007
_cell_length_c 9.545
_cell_angle_alpha 89.72
_cell_angle_beta 89.40
_cell_angle_gamma 119.98
_space_group_name_H-M_alt 'P 1'
_space_group_IT_number 1
loop_
_space_group_symop_operation_xyz
'x,y,z'
loop_
_atom_site_label
_atom_site_fract_x
_atom_site_fract_y
_atom_site_fract_z
Li1 0.355 0.680 0.886
Li2 0.949 0.974 0.992
Li3 0.968 0.987 0.503
Li4 0.676 0.338 0.399
Cr1 0.336 0.664 0.490
Cr2 0.678 0.337 0.981
Co1 0.661 0.830 0.217
Co2 0.832 0.664 0.711
Co3 0.833 0.173 0.715
Sn1 0.171 0.833 0.213
Sn2 0.171 0.338 0.213
Sn3 0.339 0.170 0.713
O1 0.145 0.823 0.599
O2 0.039 0.520 0.351
O3 0.357 0.678 0.099
O4 0.980 0.990 0.317
O5 0.978 0.988 0.807
O6 0.153 0.321 0.596
O7 0.495 0.964 0.344
O8 0.496 0.531 0.343
O9 0.326 0.163 0.087
O10 0.668 0.826 0.615
O11 0.544 0.499 0.840
O12 0.537 0.044 0.841
O13 0.691 0.347 0.607
O14 0.829 0.671 0.101
O15 0.965 0.487 0.827
O16 0.829 0.158 0.101
```

---

Entry from the Materials Project database: a relaxed structure of Li4Cr3Co3Te2O16 (GGA+U).

ΔH_f (0 K)   -53.3 eV per formula unit
Calculated density   4.88 g/cm3

CIF file:
```
data_Li4Cr3Co3Te2O16
_chemical_formula_sum 'Li4 Cr3 Co3 Te2 O16'
_cell_length_a 5.948
_cell_length_b 5.948
_cell_length_c 9.683
_cell_angle_alpha 89.61
_cell_angle_beta 89.61
_cell_angle_gamma 59.93
_space_group_name_H-M_alt 'P 1'
_space_group_IT_number 1
loop_
_space_group_symop_operation_xyz
'x,y,z'
loop_
_atom_site_label
_atom_site_fract_x
_atom_site_fract_y
_atom_site_fract_z
Li1 0.667 0.667 0.089
Li2 0.995 0.995 0.017
Li3 0.998 0.998 0.507
Li4 0.337 0.337 0.590
Cr1 0.339 0.830 0.787
Cr2 0.830 0.339 0.787
Cr3 0.173 0.173 0.287
Co1 0.827 0.827 0.786
Co2 0.174 0.657 0.286
Co3 0.657 0.174 0.286
Te1 0.673 0.673 0.515
Te2 0.331 0.331 0.015
O1 0.345 0.839 0.415
O2 0.522 0.522 0.656
O3 0.668 0.668 0.887
O4 0.996 0.996 0.696
O5 0.003 0.003 0.201
O6 0.839 0.345 0.415
O7 0.527 0.962 0.663
O8 0.962 0.527 0.663
O9 0.165 0.165 0.905
O10 0.832 0.832 0.416
O11 0.034 0.472 0.145
O12 0.472 0.034 0.145
O13 0.333 0.333 0.392
O14 0.157 0.666 0.903
O15 0.481 0.481 0.135
O16 0.666 0.157 0.903
```

---

Entry from the Materials Project database: a relaxed structure of Li4Ti3Cr2Co3O16 (GGA+U).

ΔH_f (0 K)   -66.5 eV per formula unit
Calculated density   4.12 g/cm3

CIF file:
```
data_Li4Ti3Cr2Co3O16
_chemical_formula_sum 'Li4 Ti3 Cr2 Co3 O16'
_cell_length_a 5.855
_cell_length_b 5.855
_cell_length_c 9.575
_cell_angle_alpha 89.55
_cell_angle_beta 89.55
_cell_angle_gamma 60.46
_space_group_name_H-M_alt 'P 1'
_space_group_IT_number 1
loop_
_space_group_symop_operation_xyz
'x,y,z'
loop_
_atom_site_label
_atom_site_fract_x
_atom_site_fract_y
_atom_site_fract_z
Li1 0.331 0.331 0.890
Li2 0.011 0.011 0.994
Li3 0.007 0.007 0.498
Li4 0.664 0.664 0.397
Ti1 0.165 0.662 0.214
Ti2 0.662 0.165 0.214
Ti3 0.828 0.828 0.717
Cr1 0.332 0.332 0.485
Cr2 0.664 0.664 0.982
Co1 0.169 0.169 0.212
Co2 0.336 0.828 0.709
Co3 0.828 0.336 0.709
O1 0.161 0.671 0.601
O2 0.480 0.480 0.337
O3 0.333 0.333 0.105
O4 0.004 0.004 0.310
O5 0.001 0.001 0.808
O6 0.671 0.161 0.601
O7 0.039 0.485 0.342
O8 0.485 0.039 0.342
O9 0.835 0.835 0.105
O10 0.167 0.167 0.606
O11 0.524 0.962 0.841
O12 0.962 0.524 0.841
O13 0.669 0.669 0.601
O14 0.328 0.829 0.103
O15 0.519 0.519 0.837
O16 0.829 0.328 0.103
```

---

Entry from the Materials Project database: a relaxed structure of Li4Cr3Co3W2O16 (GGA+U).

ΔH_f (0 K)   -58.2 eV per formula unit
Calculated density   5.52 g/cm3

CIF file:
```
data_Li4Cr3Co3W2O16
_chemical_formula_sum 'Li4 Cr3 Co3 W2 O16'
_cell_length_a 5.941
_cell_length_b 5.941
_cell_length_c 9.674
_cell_angle_alpha 89.58
_cell_angle_beta 89.58
_cell_angle_gamma 60.11
_space_group_name_H-M_alt 'P 1'
_space_group_IT_number 1
loop_
_space_group_symop_operation_xyz
'x,y,z'
loop_
_atom_site_label
_atom_site_fract_x
_atom_site_fract_y
_atom_site_fract_z
Li1 0.671 0.671 0.091
Li2 0.997 0.997 0.013
Li3 0.997 0.997 0.507
Li4 0.335 0.335 0.597
Cr1 0.336 0.831 0.787
Cr2 0.831 0.336 0.787
Cr3 0.172 0.172 0.286
Co1 0.828 0.828 0.786
Co2 0.175 0.658 0.286
Co3 0.658 0.175 0.286
W1 0.669 0.669 0.513
W2 0.333 0.333 0.013
O1 0.349 0.841 0.416
O2 0.521 0.521 0.658
O3 0.669 0.669 0.888
O4 0.995 0.995 0.695
O5 0.000 0.000 0.201
O6 0.841 0.349 0.416
O7 0.527 0.958 0.663
O8 0.958 0.527 0.663
O9 0.167 0.167 0.903
O10 0.828 0.828 0.421
O11 0.038 0.466 0.145
O12 0.466 0.038 0.145
O13 0.334 0.334 0.391
O14 0.157 0.660 0.903
O15 0.483 0.483 0.129
O16 0.660 0.157 0.903
```

---

Entry from the Materials Project database: a relaxed structure of Mg14CrCoO16 (GGA+U).

ΔH_f (0 K)   -91.0 eV per formula unit
Calculated density   3.76 g/cm3

CIF file:
```
data_Mg14CrCoO16
_chemical_formula_sum 'Mg14 Cr1 Co1 O16'
_cell_length_a 8.541
_cell_length_b 8.541
_cell_length_c 4.276
_cell_angle_alpha 90.00
_cell_angle_beta 90.00
_cell_angle_gamma 90.00
_space_group_name_H-M_alt 'P 1'
_space_group_IT_number 1
loop_
_space_group_symop_operation_xyz
'x,y,z'
loop_
_atom_site_label
_atom_site_fract_x
_atom_site_fract_y
_atom_site_fract_z
Mg1 0.000 0.500 0.000
Mg2 0.500 0.000 0.000
Mg3 0.000 0.246 0.500
Mg4 0.000 0.754 0.500
Mg5 0.500 0.248 0.500
Mg6 0.500 0.752 0.500
Mg7 0.246 0.000 0.500
Mg8 0.248 0.500 0.500
Mg9 0.754 0.000 0.500
Mg10 0.752 0.500 0.500
Mg11 0.246 0.246 0.000
Mg12 0.246 0.754 0.000
Mg13 0.754 0.246 0.000
Mg14 0.754 0.754 0.000
Cr1 0.500 0.500 0.000
Co1 0.000 0.000 0.000
O1 0.261 0.000 0.000
O2 0.256 0.500 0.000
O3 0.739 0.000 0.000
O4 0.744 0.500 0.000
O5 0.250 0.250 0.500
O6 0.250 0.750 0.500
O7 0.750 0.250 0.500
O8 0.750 0.750 0.500
O9 0.000 0.000 0.500
O10 0.000 0.500 0.500
O11 0.500 0.000 0.500
O12 0.500 0.500 0.500
O13 0.000 0.261 0.000
O14 0.000 0.739 0.000
O15 0.500 0.256 0.000
O16 0.500 0.744 0.000
```

---

Entry from the Materials Project database: a relaxed structure of Mg14CrCoO16 (GGA+U).

ΔH_f (0 K)   -91.2 eV per formula unit
Calculated density   3.78 g/cm3

CIF file:
```
data_Mg14CrCoO16
_chemical_formula_sum 'Mg14 Cr1 Co1 O16'
_cell_length_a 8.521
_cell_length_b 8.547
_cell_length_c 4.270
_cell_angle_alpha 90.00
_cell_angle_beta 90.00
_cell_angle_gamma 90.00
_space_group_name_H-M_alt 'P 1'
_space_group_IT_number 1
loop_
_space_group_symop_operation_xyz
'x,y,z'
loop_
_atom_site_label
_atom_site_fract_x
_atom_site_fract_y
_atom_site_fract_z
Mg1 0.500 0.000 0.000
Mg2 0.500 0.500 0.000
Mg3 0.000 0.245 0.500
Mg4 0.000 0.755 0.500
Mg5 0.500 0.249 0.500
Mg6 0.500 0.751 0.500
Mg7 0.248 0.000 0.500
Mg8 0.251 0.500 0.500
Mg9 0.752 0.000 0.500
Mg10 0.749 0.500 0.500
Mg11 0.249 0.246 0.000
Mg12 0.249 0.754 0.000
Mg13 0.751 0.246 0.000
Mg14 0.751 0.754 0.000
Cr1 0.000 0.500 0.000
Co1 0.000 0.000 0.000
O1 0.258 0.000 0.000
O2 0.247 0.500 0.000
O3 0.742 0.000 0.000
O4 0.753 0.500 0.000
O5 0.249 0.251 0.500
O6 0.249 0.749 0.500
O7 0.751 0.251 0.500
O8 0.751 0.749 0.500
O9 0.000 0.000 0.500
O10 0.000 0.500 0.500
O11 0.500 0.000 0.500
O12 0.500 0.500 0.500
O13 0.000 0.262 0.000
O14 0.000 0.738 0.000
O15 0.500 0.253 0.000
O16 0.500 0.747 0.000
```

---

Entry from the Materials Project database: a relaxed structure of MgCr2Co4O12 (GGA+U).

ΔH_f (0 K)   -28.3 eV per formula unit
Calculated density   4.10 g/cm3

CIF file:
```
data_MgCr2Co4O12
_chemical_formula_sum 'Mg1 Cr2 Co4 O12'
_cell_length_a 5.045
_cell_length_b 5.044
_cell_length_c 10.223
_cell_angle_alpha 89.98
_cell_angle_beta 89.87
_cell_angle_gamma 119.93
_space_group_name_H-M_alt 'P 1'
_space_group_IT_number 1
loop_
_space_group_symop_operation_xyz
'x,y,z'
loop_
_atom_site_label
_atom_site_fract_x
_atom_site_fract_y
_atom_site_fract_z
Mg1 0.663 0.161 0.750
Cr1 0.002 0.001 0.001
Cr2 0.501 0.502 0.498
Co1 0.169 0.843 0.496
Co2 0.344 0.671 0.005
Co3 0.669 0.335 0.009
Co4 0.833 0.168 0.491
O1 0.000 0.653 0.093
O2 0.971 0.324 0.897
O3 0.153 0.499 0.407
O4 0.515 0.857 0.600
O5 0.149 0.155 0.592
O6 0.341 0.343 0.095
O7 0.655 0.651 0.908
O8 0.359 0.015 0.901
O9 0.843 0.843 0.405
O10 0.512 0.162 0.403
O11 0.824 0.472 0.602
O12 0.663 0.010 0.099
```

---

Entry from the Materials Project database: a relaxed structure of MgCr2Co4O12 (GGA+U).

ΔH_f (0 K)   -29.0 eV per formula unit
Calculated density   4.28 g/cm3

CIF file:
```
data_MgCr2Co4O12
_chemical_formula_sum 'Mg1 Cr2 Co4 O12'
_cell_length_a 5.013
_cell_length_b 5.015
_cell_length_c 9.999
_cell_angle_alpha 93.44
_cell_angle_beta 94.10
_cell_angle_gamma 120.04
_space_group_name_H-M_alt 'P 1'
_space_group_IT_number 1
loop_
_space_group_symop_operation_xyz
'x,y,z'
loop_
_atom_site_label
_atom_site_fract_x
_atom_site_fract_y
_atom_site_fract_z
Mg1 0.746 0.424 0.250
Cr1 0.017 0.018 0.007
Cr2 0.479 0.493 0.504
Co1 0.148 0.826 0.500
Co2 0.347 0.681 0.008
Co3 0.680 0.338 0.977
Co4 0.814 0.157 0.501
O1 0.025 0.683 0.103
O2 0.013 0.341 0.903
O3 0.099 0.465 0.396
O4 0.503 0.864 0.594
O5 0.155 0.167 0.594
O6 0.390 0.389 0.111
O7 0.631 0.656 0.906
O8 0.316 0.978 0.905
O9 0.798 0.794 0.396
O10 0.470 0.138 0.396
O11 0.856 0.516 0.596
O12 0.693 0.058 0.101
```

---

Entry from the Materials Project database: a relaxed structure of Mn3Cr2Co3O16 (GGA+U).

ΔH_f (0 K)   -35.2 eV per formula unit
Calculated density   4.72 g/cm3

CIF file:
```
data_Mn3Cr2Co3O16
_chemical_formula_sum 'Mn3 Cr2 Co3 O16'
_cell_length_a 5.685
_cell_length_b 5.711
_cell_length_c 8.801
_cell_angle_alpha 90.00
_cell_angle_beta 90.70
_cell_angle_gamma 120.16
_space_group_name_H-M_alt 'P 1'
_space_group_IT_number 1
loop_
_space_group_symop_operation_xyz
'x,y,z'
loop_
_atom_site_label
_atom_site_fract_x
_atom_site_fract_y
_atom_site_fract_z
Mn1 0.664 0.832 0.212
Mn2 0.834 0.664 0.712
Mn3 0.834 0.169 0.712
Cr1 0.335 0.667 0.488
Cr2 0.665 0.332 0.990
Co1 0.168 0.832 0.209
Co2 0.168 0.336 0.209
Co3 0.334 0.167 0.708
O1 0.171 0.839 0.603
O2 0.045 0.523 0.331
O3 0.328 0.664 0.100
O4 0.007 0.003 0.316
O5 0.004 0.002 0.819
O6 0.171 0.332 0.603
O7 0.474 0.959 0.337
O8 0.474 0.515 0.337
O9 0.331 0.165 0.107
O10 0.662 0.831 0.599
O11 0.515 0.473 0.837
O12 0.515 0.043 0.837
O13 0.666 0.333 0.600
O14 0.837 0.666 0.103
O15 0.962 0.481 0.841
O16 0.837 0.171 0.103
```

---

> Which formula does entry 6 have?

Li4Ti3Cr2Co3O16